Record 1
# PBE CsSmSiS4, optimized geometry
data_CsSmSiS4
_cell_length_a 6.496
_cell_length_b 6.803
_cell_length_c 18.059
_cell_angle_alpha 90.00
_cell_angle_beta 90.00
_cell_angle_gamma 90.00
_space_group_name_H-M_alt 'P 1'
_space_group_IT_number 1
_space_group_name_Hall 'P 1'
loop_
_atom_site_label
_atom_site_type_symbol
_atom_site_fract_x
_atom_site_fract_y
_atom_site_fract_z
_atom_site_occupancy
Cs1 Cs 0.996 0.006 0.034 1
Cs2 Cs 0.004 0.506 0.466 1
Cs3 Cs 0.496 0.494 0.966 1
Cs4 Cs 0.504 0.994 0.534 1
S1 S 0.050 0.511 0.097 1
S2 S 0.109 0.247 0.844 1
S3 S 0.387 0.930 0.721 1
S4 S 0.887 0.570 0.279 1
S5 S 0.391 0.753 0.344 1
S6 S 0.929 0.256 0.646 1
S7 S 0.613 0.430 0.779 1
S8 S 0.429 0.244 0.354 1
S9 S 0.113 0.070 0.221 1
S10 S 0.571 0.744 0.146 1
S11 S 0.609 0.253 0.156 1
S12 S 0.950 0.011 0.403 1
S13 S 0.550 0.989 0.903 1
S14 S 0.071 0.756 0.854 1
S15 S 0.450 0.489 0.597 1
S16 S 0.891 0.747 0.656 1
Si1 Si 0.210 0.016 0.332 1
Si2 Si 0.290 0.984 0.832 1
Si3 Si 0.710 0.484 0.668 1
Si4 Si 0.790 0.516 0.168 1
Sm1 Sm 0.792 0.021 0.772 1
Sm2 Sm 0.292 0.479 0.228 1
Sm3 Sm 0.708 0.979 0.272 1
Sm4 Sm 0.208 0.521 0.728 1
# calculated density	3.66	g/cm³
# space group	P2_12_12_1, No. 19
# ΔH_f (0 K)	-1.73	eV per atom


Record 2
# PBE CsTbSiS4, optimized geometry
data_CsTbSiS4
_cell_length_a 6.397
_cell_length_b 6.742
_cell_length_c 17.842
_cell_angle_alpha 90.00
_cell_angle_beta 90.00
_cell_angle_gamma 90.00
_space_group_name_H-M_alt 'P 1'
_space_group_IT_number 1
_space_group_name_Hall 'P 1'
loop_
_atom_site_label
_atom_site_type_symbol
_atom_site_fract_x
_atom_site_fract_y
_atom_site_fract_z
_atom_site_occupancy
S1 S 0.946 0.012 0.404 1
S2 S 0.110 0.070 0.221 1
S3 S 0.390 0.930 0.721 1
S4 S 0.103 0.246 0.845 1
S5 S 0.897 0.746 0.655 1
S6 S 0.570 0.750 0.147 1
S7 S 0.054 0.512 0.096 1
S8 S 0.070 0.750 0.853 1
S9 S 0.603 0.254 0.155 1
S10 S 0.397 0.754 0.345 1
S11 S 0.890 0.570 0.279 1
S12 S 0.610 0.430 0.779 1
S13 S 0.930 0.250 0.647 1
S14 S 0.554 0.988 0.904 1
S15 S 0.446 0.488 0.596 1
S16 S 0.430 0.250 0.353 1
Si1 Si 0.210 0.016 0.333 1
Si2 Si 0.790 0.516 0.167 1
Si3 Si 0.290 0.984 0.833 1
Si4 Si 0.710 0.484 0.667 1
Tb1 Tb 0.793 0.018 0.772 1
Tb2 Tb 0.707 0.982 0.272 1
Tb3 Tb 0.293 0.482 0.228 1
Tb4 Tb 0.207 0.518 0.728 1
Cs1 Cs 0.497 0.993 0.532 1
Cs2 Cs 0.003 0.007 0.032 1
Cs3 Cs 0.997 0.507 0.468 1
Cs4 Cs 0.503 0.493 0.968 1
# total magnetic moment	0.00	μB/f.u.
# calculated density	3.87	g/cm³
# space group	P2_12_12_1, No. 19
# ΔH_f (0 K)	-1.73	eV per atom


Record 3
# PBE CsSmS2, optimized geometry
data_CsSmS2
_cell_length_a 4.200
_cell_length_b 4.200
_cell_length_c 8.440
_cell_angle_alpha 75.59
_cell_angle_beta 75.59
_cell_angle_gamma 60.00
_space_group_name_H-M_alt 'P 1'
_space_group_IT_number 1
_space_group_name_Hall 'P 1'
loop_
_atom_site_label
_atom_site_type_symbol
_atom_site_fract_x
_atom_site_fract_y
_atom_site_fract_z
_atom_site_occupancy
Cs1 Cs 0.000 0.000 0.000 1
Sm1 Sm 0.500 0.500 0.500 1
S1 S 0.772 0.772 0.685 1
S2 S 0.228 0.228 0.315 1
# calculated density	4.67	g/cm³
# space group	R-3m, No. 166
# ΔH_f (0 K)	-2.06	eV per atom


Record 4
# PBE Cs2SnS14, optimized geometry
data_Cs2SnS14
_cell_length_a 19.245
_cell_length_b 7.305
_cell_length_c 15.839
_cell_angle_alpha 72.23
_cell_angle_beta 90.00
_cell_angle_gamma 90.00
_space_group_name_H-M_alt 'P 1'
_space_group_IT_number 1
_space_group_name_Hall 'P 1'
loop_
_atom_site_label
_atom_site_type_symbol
_atom_site_fract_x
_atom_site_fract_y
_atom_site_fract_z
_atom_site_occupancy
S1 S 0.694 0.977 0.162 1
S2 S 0.409 0.781 0.521 1
S3 S 0.668 0.089 0.425 1
S4 S 0.332 0.911 0.575 1
S5 S 0.170 0.187 0.989 1
S6 S 0.635 0.228 0.597 1
S7 S 0.306 0.023 0.838 1
S8 S 0.449 0.294 0.322 1
S9 S 0.218 0.497 0.775 1
S10 S 0.782 0.503 0.225 1
S11 S 0.536 0.823 0.939 1
S12 S 0.183 0.064 0.677 1
S13 S 0.830 0.813 0.011 1
S14 S 0.176 0.484 0.259 1
S15 S 0.168 0.911 0.075 1
S16 S 0.282 0.497 0.275 1
S17 S 0.532 0.278 0.139 1
S18 S 0.676 0.516 0.241 1
S19 S 0.317 0.064 0.177 1
S20 S 0.591 0.219 0.479 1
S21 S 0.683 0.936 0.823 1
S22 S 0.551 0.706 0.678 1
S23 S 0.824 0.516 0.741 1
S24 S 0.855 0.750 0.635 1
S25 S 0.526 0.550 0.804 1
S26 S 0.593 0.045 0.855 1
S27 S 0.865 0.228 0.097 1
S28 S 0.670 0.813 0.511 1
S29 S 0.036 0.177 0.561 1
S30 S 0.645 0.750 0.135 1
S31 S 0.964 0.823 0.439 1
S32 S 0.093 0.955 0.645 1
S33 S 0.832 0.089 0.925 1
S34 S 0.194 0.023 0.338 1
S35 S 0.051 0.294 0.822 1
S36 S 0.324 0.484 0.759 1
S37 S 0.091 0.781 0.021 1
S38 S 0.468 0.722 0.861 1
S39 S 0.949 0.706 0.178 1
S40 S 0.968 0.278 0.639 1
S41 S 0.330 0.187 0.489 1
S42 S 0.806 0.977 0.662 1
S43 S 0.407 0.955 0.145 1
S44 S 0.817 0.936 0.323 1
S45 S 0.145 0.250 0.365 1
S46 S 0.974 0.550 0.304 1
S47 S 0.135 0.772 0.903 1
S48 S 0.718 0.503 0.725 1
S49 S 0.474 0.450 0.196 1
S50 S 0.909 0.219 0.979 1
S51 S 0.365 0.772 0.403 1
S52 S 0.032 0.722 0.361 1
S53 S 0.026 0.450 0.696 1
S54 S 0.464 0.177 0.061 1
S55 S 0.355 0.250 0.865 1
S56 S 0.907 0.045 0.355 1
Cs1 Cs 0.799 0.442 0.477 1
Cs2 Cs 0.701 0.442 0.977 1
Cs3 Cs 0.549 0.795 0.336 1
Cs4 Cs 0.451 0.205 0.664 1
Cs5 Cs 0.299 0.558 0.023 1
Cs6 Cs 0.049 0.205 0.164 1
Cs7 Cs 0.201 0.558 0.523 1
Cs8 Cs 0.951 0.795 0.836 1
Sn1 Sn 0.825 0.866 0.169 1
Sn2 Sn 0.175 0.134 0.831 1
Sn3 Sn 0.325 0.134 0.331 1
Sn4 Sn 0.675 0.866 0.669 1
# calculated density	2.61	g/cm³
# space group	P2_1/c, No. 14
# ΔH_f (0 K)	-0.75	eV per atom